No. 1
Material: GaFeN2
Method: DFT, PBE
State: optimized geometry

Unit cell a=5.3550 b=5.3550 c=5.3550 alpha=130.61 beta=130.61 gamma=72.43
Fractional positions:
Ga1 0.0000 0.0000 0.0000
Ga2 0.7500 0.2500 0.5000
Fe1 0.2500 0.7500 0.5000
Fe2 0.5000 0.5000 0.0000
N1 0.1444 0.6250 0.0194
N2 0.3750 0.3944 0.5194
N3 0.6056 0.1250 0.9806
N4 0.8750 0.8556 0.4806

Results
Final energy, Ry per atom: -0.51609

***

No. 2
Material: Na4C2O5
Method: DFT, PBE
State: optimized geometry

Unit cell a=5.0646 b=5.0646 c=6.2035 alpha=98.81 beta=98.81 gamma=63.78
Fractional positions:
Na1 0.0000 0.0000 0.0000
Na2 0.0055 0.0055 0.4952
Na3 0.3357 0.3357 0.7689
Na4 0.6690 0.6690 0.2355
C1 0.3176 0.3176 0.2556
C2 0.6626 0.6626 0.7428
O1 0.1843 0.5986 0.2216
O2 0.3880 0.8091 0.7859
O3 0.5986 0.1843 0.2216
O4 0.7897 0.7897 0.6588
O5 0.8091 0.3880 0.7859

Results
Final energy, Ry per atom: -0.43197